Entry 1:
Entry from Materials Project: a relaxed Na3NbGa3P5SO24 crystal (PBE-GGA).

Structure (POSCAR):
```
Na3NbGa3P5SO24
1.0
8.621 0.000 0.000
4.307 7.484 0.000
0.159 0.001 22.215
Na Nb Ga P S O
9 3 9 15 3 72
direct
0.000 0.000 0.000 Na
0.002 0.368 0.243 Na
0.008 0.003 0.497 Na
0.329 0.344 0.667 Na
0.338 0.336 0.160 Na
0.656 0.680 0.827 Na
0.659 0.677 0.329 Na
0.670 0.030 0.580 Na
0.969 0.338 0.915 Na
0.001 0.001 0.348 Nb
0.002 0.991 0.849 Nb
0.329 0.341 0.516 Nb
0.004 0.995 0.642 Ga
0.326 0.336 0.013 Ga
0.339 0.336 0.309 Ga
0.344 0.335 0.811 Ga
0.659 0.676 0.680 Ga
0.666 0.668 0.476 Ga
0.666 0.668 0.977 Ga
0.669 0.669 0.180 Ga
0.999 0.011 0.144 Ga
0.001 0.712 0.241 P
0.039 0.344 0.409 P
0.048 0.616 0.912 P
0.296 0.705 0.742 P
0.298 0.999 0.242 P
0.342 0.623 0.409 P
0.344 0.044 0.911 P
0.375 0.950 0.578 P
0.613 0.343 0.913 P
0.618 0.042 0.410 P
0.676 0.383 0.579 P
0.702 0.295 0.242 P
0.703 0.003 0.741 P
0.947 0.673 0.579 P
0.959 0.377 0.078 P
0.001 0.296 0.743 S
0.376 0.669 0.078 S
0.667 0.960 0.078 S
0.024 0.809 0.905 O
0.026 0.170 0.405 O
0.030 0.183 0.690 O
0.034 0.799 0.186 O
0.124 0.369 0.352 O
0.125 0.503 0.855 O
0.139 0.505 0.572 O
0.147 0.360 0.072 O
0.161 0.308 0.465 O
0.162 0.312 0.750 O
0.162 0.545 0.969 O
0.165 0.525 0.250 O
0.167 0.809 0.405 O
0.168 0.029 0.903 O
0.172 0.043 0.188 O
0.176 0.795 0.688 O
0.185 0.982 0.586 O
0.195 0.831 0.084 O
0.202 0.828 0.799 O
0.206 0.971 0.299 O
0.291 0.166 0.967 O
0.305 0.539 0.467 O
0.306 0.524 0.752 O
0.307 0.171 0.252 O
0.358 0.142 0.570 O
0.361 0.506 0.072 O
0.367 0.510 0.354 O
0.369 0.127 0.854 O
0.454 0.702 0.023 O
0.457 0.844 0.521 O
0.479 0.693 0.739 O
0.480 0.830 0.237 O
0.486 0.640 0.133 O
0.496 0.883 0.634 O
0.503 0.646 0.418 O
0.503 0.856 0.920 O
0.505 0.130 0.355 O
0.505 0.140 0.072 O
0.505 0.357 0.571 O
0.508 0.373 0.855 O
0.520 0.171 0.751 O
0.520 0.312 0.251 O
0.539 0.159 0.468 O
0.539 0.301 0.969 O
0.632 0.497 0.636 O
0.634 0.881 0.133 O
0.643 0.857 0.418 O
0.649 0.501 0.919 O
0.695 0.478 0.238 O
0.696 0.830 0.739 O
0.696 0.850 0.023 O
0.703 0.461 0.521 O
0.788 0.037 0.685 O
0.790 0.177 0.187 O
0.806 0.029 0.405 O
0.809 0.174 0.904 O
0.827 0.977 0.798 O
0.829 0.206 0.299 O
0.830 0.975 0.084 O
0.832 0.693 0.238 O
0.833 0.189 0.585 O
0.835 0.709 0.522 O
0.837 0.472 0.740 O
0.845 0.460 0.020 O
0.855 0.506 0.418 O
0.857 0.644 0.919 O
0.873 0.633 0.636 O
0.875 0.492 0.135 O
0.971 0.830 0.299 O
0.973 0.213 0.800 O
0.973 0.838 0.584 O
0.976 0.190 0.084 O
```

## Properties
The calculation puts the calculated formation energy at -2.5485 eV per atom. The calculation puts the calculated volume at 1433.3 Å³/cell. The magnetic moment comes out at 0.0 μB per cell. The MP2020-corrected energy comes out at -802.2 eV/cell. The final energy comes out at -6.781 eV per atom. As for the space-group type: P1, No. 1.

Entry 2:
Entry from Materials Project: a relaxed NaNb2Ga2P5SO24 crystal (PBE-GGA).

Structure (POSCAR):
```
NaNb2Ga2P5SO24
1.0
8.648 0.000 0.000
-4.322 7.511 0.000
-0.031 -0.081 22.382
Na Nb Ga P S O
3 6 6 15 3 72
direct
0.000 0.000 0.000 Na
0.002 0.001 0.506 Na
0.667 0.334 0.172 Na
0.005 0.000 0.356 Nb
0.332 0.665 0.194 Nb
0.335 0.668 0.975 Nb
0.338 0.673 0.691 Nb
0.664 0.339 0.527 Nb
0.666 0.333 0.021 Nb
0.000 0.001 0.148 Ga
0.324 0.657 0.481 Ga
0.667 0.326 0.813 Ga
0.669 0.344 0.314 Ga
0.991 0.997 0.854 Ga
0.994 0.004 0.647 Ga
0.048 0.675 0.085 P
0.053 0.376 0.583 P
0.295 0.013 0.249 P
0.322 0.947 0.582 P
0.325 0.373 0.085 P
0.373 0.050 0.913 P
0.386 0.345 0.416 P
0.623 0.681 0.582 P
0.627 0.953 0.085 P
0.675 0.622 0.912 P
0.721 0.710 0.249 P
0.724 0.012 0.752 P
0.950 0.326 0.913 P
0.958 0.614 0.417 P
0.987 0.280 0.249 P
0.289 0.282 0.751 S
0.659 0.042 0.417 S
0.992 0.712 0.751 S
0.026 0.189 0.591 O
0.026 0.198 0.306 O
0.026 0.837 0.090 O
0.035 0.825 0.805 O
0.132 0.639 0.140 O
0.134 0.495 0.640 O
0.136 0.495 0.926 O
0.144 0.646 0.426 O
0.156 0.692 0.743 O
0.160 0.467 0.242 O
0.160 0.695 0.028 O
0.161 0.455 0.527 O
0.163 0.190 0.090 O
0.164 0.976 0.593 O
0.174 0.974 0.305 O
0.177 0.209 0.805 O
0.186 0.026 0.909 O
0.195 0.171 0.410 O
0.210 0.040 0.193 O
0.211 0.175 0.697 O
0.296 0.836 0.527 O
0.305 0.465 0.028 O
0.306 0.464 0.742 O
0.306 0.839 0.242 O
0.357 0.865 0.926 O
0.360 0.865 0.639 O
0.361 0.503 0.426 O
0.362 0.494 0.140 O
0.463 0.164 0.971 O
0.467 0.302 0.472 O
0.470 0.310 0.758 O
0.481 0.170 0.258 O
0.492 0.363 0.360 O
0.493 0.128 0.860 O
0.495 0.133 0.574 O
0.499 0.360 0.077 O
0.505 0.641 0.639 O
0.506 0.640 0.926 O
0.506 0.868 0.140 O
0.507 0.865 0.425 O
0.532 0.840 0.741 O
0.533 0.695 0.242 O
0.535 0.840 0.028 O
0.540 0.706 0.527 O
0.635 0.503 0.859 O
0.637 0.123 0.362 O
0.637 0.506 0.576 O
0.640 0.139 0.077 O
0.691 0.523 0.256 O
0.692 0.169 0.759 O
0.698 0.158 0.470 O
0.698 0.533 0.971 O
0.795 0.964 0.807 O
0.802 0.828 0.305 O
0.811 0.974 0.090 O
0.812 0.835 0.591 O
0.827 0.027 0.411 O
0.828 0.307 0.258 O
0.831 0.793 0.193 O
0.832 0.036 0.695 O
0.834 0.531 0.472 O
0.836 0.301 0.971 O
0.838 0.533 0.758 O
0.838 0.808 0.910 O
0.861 0.502 0.077 O
0.864 0.358 0.574 O
0.874 0.369 0.860 O
0.874 0.506 0.360 O
0.961 0.171 0.193 O
0.968 0.792 0.697 O
0.971 0.804 0.410 O
0.975 0.164 0.910 O
```

## Properties
The calculation puts the calculated formation energy at -2.6286 eV per atom. The calculation puts the calculated volume at 1453.9 Å³/cell. The magnetic moment comes out at 0.0 μB per cell. The MP2020-corrected energy comes out at -808.6 eV/cell. The final energy comes out at -7.230 eV per atom. As for the space-group type: P1, No. 1.

Entry 3:
Entry from Materials Project: a relaxed NaNbGa3P3S3O24 crystal (PBE-GGA).

Structure (POSCAR):
```
NaNbGa3P3S3O24
1.0
8.551 0.000 0.000
4.248 7.429 0.000
0.211 0.148 22.326
Na Nb Ga P S O
3 3 9 9 9 72
direct
0.000 0.000 0.000 Na
0.014 0.986 0.503 Na
0.678 0.651 0.165 Na
0.020 0.987 0.350 Nb
0.350 0.334 0.690 Nb
0.675 0.669 0.809 Nb
0.004 0.994 0.851 Ga
0.010 0.008 0.146 Ga
0.020 0.988 0.647 Ga
0.331 0.348 0.478 Ga
0.343 0.341 0.186 Ga
0.365 0.316 0.980 Ga
0.679 0.663 0.521 Ga
0.681 0.657 0.019 Ga
0.688 0.649 0.311 Ga
0.012 0.718 0.749 P
0.014 0.291 0.244 P
0.285 0.998 0.749 P
0.310 0.702 0.244 P
0.344 0.626 0.578 P
0.637 0.328 0.082 P
0.681 0.952 0.920 P
0.740 0.272 0.748 P
0.960 0.655 0.417 P
0.054 0.326 0.580 S
0.056 0.618 0.081 S
0.346 0.038 0.082 S
0.382 0.663 0.918 S
0.397 0.953 0.417 S
0.635 0.039 0.579 S
0.673 0.375 0.417 S
0.718 0.994 0.246 S
0.974 0.367 0.918 S
0.032 0.165 0.587 O
0.037 0.168 0.303 O
0.039 0.799 0.087 O
0.054 0.786 0.805 O
0.132 0.507 0.136 O
0.142 0.349 0.634 O
0.148 0.359 0.924 O
0.148 0.492 0.424 O
0.165 0.536 0.026 O
0.170 0.289 0.526 O
0.175 0.034 0.806 O
0.175 0.525 0.739 O
0.175 0.812 0.587 O
0.184 0.016 0.087 O
0.186 0.796 0.303 O
0.188 0.296 0.238 O
0.205 0.828 0.911 O
0.207 0.974 0.410 O
0.218 0.827 0.191 O
0.219 0.955 0.692 O
0.307 0.541 0.524 O
0.312 0.150 0.027 O
0.317 0.160 0.738 O
0.320 0.521 0.241 O
0.365 0.501 0.923 O
0.370 0.504 0.636 O
0.373 0.120 0.136 O
0.375 0.132 0.425 O
0.466 0.694 0.971 O
0.466 0.837 0.471 O
0.478 0.832 0.759 O
0.491 0.693 0.257 O
0.497 0.635 0.863 O
0.499 0.873 0.362 O
0.507 0.133 0.923 O
0.510 0.858 0.076 O
0.517 0.348 0.425 O
0.517 0.636 0.572 O
0.520 0.361 0.139 O
0.524 0.125 0.634 O
0.544 0.157 0.242 O
0.546 0.298 0.738 O
0.551 0.152 0.526 O
0.557 0.295 0.025 O
0.642 0.483 0.362 O
0.649 0.862 0.575 O
0.655 0.500 0.075 O
0.658 0.856 0.862 O
0.700 0.832 0.256 O
0.707 0.465 0.759 O
0.712 0.450 0.470 O
0.714 0.827 0.974 O
0.805 0.161 0.805 O
0.807 0.019 0.302 O
0.815 0.024 0.585 O
0.826 0.156 0.089 O
0.836 0.957 0.194 O
0.839 0.191 0.410 O
0.842 0.699 0.473 O
0.846 0.475 0.255 O
0.847 0.200 0.691 O
0.849 0.687 0.758 O
0.851 0.969 0.911 O
0.856 0.446 0.971 O
0.872 0.638 0.076 O
0.876 0.632 0.360 O
0.879 0.491 0.575 O
0.885 0.480 0.863 O
0.969 0.828 0.692 O
0.970 0.208 0.192 O
0.982 0.829 0.408 O
0.993 0.186 0.911 O
```

## Properties
The calculation puts the calculated formation energy at -2.3388 eV per atom. The calculation puts the calculated volume at 1418.1 Å³/cell. The magnetic moment comes out at 0.0 μB per cell. The MP2020-corrected energy comes out at -749.3 eV/cell. The final energy comes out at -6.665 eV per atom. As for the space-group type: P1, No. 1.

Entry 4:
Entry from Materials Project: a relaxed NaNb3GaSiP5O24 crystal (PBE-GGA).

Structure (POSCAR):
```
NaNb3GaSiP5O24
1.0
8.740 0.000 0.000
-4.367 7.572 0.000
-0.049 -0.085 22.688
Na Nb Ga Si P O
3 9 3 3 15 72
direct
0.000 0.000 0.000 Na
0.001 0.999 0.501 Na
0.333 0.667 0.654 Na
0.000 0.997 0.351 Nb
0.328 0.665 0.305 Nb
0.332 0.662 0.805 Nb
0.336 0.662 0.022 Nb
0.667 0.334 0.682 Nb
0.668 0.334 0.186 Nb
0.669 0.334 0.971 Nb
0.669 0.335 0.472 Nb
0.998 0.999 0.850 Nb
0.000 0.999 0.639 Ga
0.332 0.669 0.516 Ga
0.999 0.999 0.141 Ga
0.051 0.382 0.912 Si
0.055 0.667 0.415 Si
0.618 0.668 0.912 Si
0.001 0.718 0.741 P
0.002 0.280 0.242 P
0.280 0.998 0.242 P
0.282 0.282 0.741 P
0.332 0.948 0.912 P
0.333 0.386 0.414 P
0.372 0.038 0.578 P
0.373 0.322 0.080 P
0.614 0.946 0.414 P
0.666 0.628 0.578 P
0.676 0.050 0.079 P
0.716 0.999 0.741 P
0.718 0.721 0.242 P
0.951 0.627 0.079 P
0.961 0.332 0.578 P
0.024 0.837 0.402 O
0.031 0.188 0.904 O
0.035 0.203 0.187 O
0.035 0.833 0.687 O
0.134 0.641 0.070 O
0.136 0.501 0.853 O
0.141 0.500 0.574 O
0.141 0.639 0.354 O
0.164 0.467 0.253 O
0.165 0.695 0.750 O
0.167 0.203 0.687 O
0.168 0.198 0.402 O
0.169 0.964 0.188 O
0.170 0.972 0.903 O
0.173 0.474 0.970 O
0.175 0.710 0.472 O
0.189 0.162 0.085 O
0.192 0.028 0.584 O
0.199 0.031 0.298 O
0.200 0.174 0.798 O
0.296 0.461 0.468 O
0.299 0.834 0.967 O
0.307 0.471 0.750 O
0.310 0.840 0.254 O
0.362 0.494 0.072 O
0.362 0.496 0.357 O
0.362 0.868 0.856 O
0.366 0.861 0.575 O
0.463 0.300 0.024 O
0.465 0.157 0.523 O
0.468 0.163 0.235 O
0.469 0.306 0.735 O
0.492 0.137 0.633 O
0.493 0.356 0.134 O
0.493 0.358 0.421 O
0.495 0.132 0.922 O
0.496 0.638 0.572 O
0.500 0.640 0.853 O
0.504 0.869 0.071 O
0.505 0.863 0.357 O
0.528 0.838 0.751 O
0.531 0.704 0.970 O
0.532 0.693 0.254 O
0.544 0.833 0.468 O
0.635 0.132 0.421 O
0.636 0.494 0.922 O
0.642 0.508 0.633 O
0.645 0.138 0.134 O
0.691 0.532 0.523 O
0.697 0.165 0.735 O
0.697 0.534 0.234 O
0.698 0.162 0.024 O
0.796 0.831 0.188 O
0.797 0.963 0.688 O
0.805 0.977 0.402 O
0.816 0.837 0.904 O
0.828 0.026 0.798 O
0.833 0.802 0.298 O
0.835 0.807 0.584 O
0.836 0.534 0.024 O
0.837 0.027 0.085 O
0.837 0.532 0.734 O
0.839 0.306 0.234 O
0.841 0.307 0.524 O
0.855 0.496 0.422 O
0.856 0.355 0.922 O
0.864 0.356 0.633 O
0.864 0.508 0.134 O
0.970 0.162 0.584 O
0.970 0.169 0.298 O
0.971 0.810 0.085 O
0.974 0.801 0.798 O
```

## Properties
The calculation puts the calculated formation energy at -2.8482 eV per atom. The calculation puts the calculated volume at 1501.5 Å³/cell. The magnetic moment comes out at 0.0 μB per cell. The MP2020-corrected energy comes out at -856.7 eV/cell. The final energy comes out at -7.688 eV per atom. As for the space-group type: P1, No. 1.